(1)
First-principles (GGA+U) data for an optimized crystal structure of LiV3OF11, as listed in Materials Project.

Lattice parameters (Å, degrees): 5.4028 5.2538 15.6169 90.00 99.82 90.00
Fractional positions:
Li  0.2095  0.0000  0.4921
Li  0.7905  0.5000  0.5079
V  0.0754  0.3061  0.6746
V  0.2499  0.7809  0.9999
V  0.4021  0.2720  0.3261
V  0.5979  0.7720  0.6739
V  0.7501  0.2809  0.0001
V  0.9246  0.8061  0.3254
O  0.1389  0.0586  0.3548
O  0.8611  0.5586  0.6452
F  0.0119  0.2121  0.5493
F  0.0411  0.4756  0.9766
F  0.1731  0.3551  0.7884
F  0.1756  0.8664  0.8890
F  0.1869  0.5655  0.3047
F  0.3031  0.9926  0.6828
F  0.3205  0.6977  0.1110
F  0.3623  0.2051  0.2148
F  0.3737  0.4827  0.6471
F  0.4595  0.0863  0.0233
F  0.4797  0.3529  0.4446
F  0.5203  0.8529  0.5554
F  0.5405  0.5863  0.9767
F  0.6263  0.9827  0.3529
F  0.6377  0.7051  0.7852
F  0.6795  0.1977  0.8890
F  0.6969  0.4926  0.3172
F  0.8131  0.0655  0.6953
F  0.8244  0.3664  0.1110
F  0.8269  0.8551  0.2116
F  0.9589  0.9756  0.0234
F  0.9881  0.7121  0.4507

## Properties
total magnetization	6.0	μB/cell
formation energy from the elements	-47.7	eV per formula unit
offset from the most stable computed form	0.000	eV/atom
calculated density	2.9	g cm⁻³

(2)
First-principles (GGA+U) data for an optimized crystal structure of NaNbInWO6, as listed in Materials Project.

Lattice parameters (Å, degrees): 5.6961 5.6961 5.6961 60.00 60.00 60.00
Fractional positions:
Na  0.0000  0.0000  0.0000
Nb  0.2500  0.2500  0.2500
In  0.5000  0.5000  0.5000
W  0.7500  0.7500  0.7500
O  0.5036  0.5036  0.9964
O  0.5036  0.9964  0.5036
O  0.5036  0.9964  0.9964
O  0.9964  0.5036  0.5036
O  0.9964  0.5036  0.9964
O  0.9964  0.9964  0.5036

## Properties
total magnetization	0.9	μB/cell
formation energy from the elements	-22.1	eV per formula unit
calculated density	6.5	g cm⁻³